## A
A plane-wave DFT calculation with GGA+U was carried out for a geometry-optimized Cr5O12 structure.

Size of the total moment: 0.353 μB/atom
Crystal system: orthorhombic

POSCAR file:
```
Cr5O12
1.0
-5.5637 -5.8278 2.3522
4.5791 -5.9328 -3.8679
6.3274 -1.8635 10.3492
O Cr
48 20
direct
0.0873 0.4851 0.6012
0.5873 0.5149 0.6012
0.6438 0.0086 0.2456
0.8562 0.5086 0.7456
0.6473 0.7220 0.4210
0.9156 0.7736 0.2521
0.3562 0.4914 0.7456
0.0844 0.7264 0.7521
0.1473 0.7780 0.0790
0.3562 0.9914 0.7544
0.6237 0.2198 0.4310
0.8562 0.0086 0.7544
0.1451 0.0157 0.5803
0.1451 0.5157 0.9197
0.5844 0.7736 0.7479
0.8527 0.7220 0.5790
0.3527 0.7780 0.9210
0.4156 0.7264 0.2479
0.1473 0.2780 0.4210
0.6451 0.4843 0.9197
0.3763 0.2802 0.9310
0.9156 0.2736 0.2479
0.8527 0.2220 0.9210
0.0873 0.9851 0.8988
0.4127 0.9851 0.1012
0.1438 0.9914 0.2456
0.3527 0.2780 0.5790
0.6451 0.9843 0.5803
0.8763 0.7198 0.9310
0.4127 0.4851 0.3988
0.6237 0.7198 0.0690
0.9127 0.0149 0.1012
0.6438 0.5086 0.2544
0.0844 0.2264 0.7479
0.8763 0.2198 0.5690
0.5873 0.0149 0.8988
0.5844 0.2736 0.7521
0.3549 0.0157 0.4197
0.8549 0.4843 0.0803
0.1237 0.2802 0.0690
0.4156 0.2264 0.2521
0.6473 0.2220 0.0790
0.8549 0.9843 0.4197
0.3549 0.5157 0.0803
0.3763 0.7802 0.5690
0.1438 0.4914 0.2544
0.9127 0.5149 0.3988
0.1237 0.7802 0.4310
0.6095 0.7481 0.5866
0.5286 0.6101 0.3285
0.0286 0.8899 0.1715
0.1095 0.2519 0.5866
0.3905 0.2519 0.4134
0.4714 0.8899 0.8285
0.3905 0.7519 0.0866
0.1095 0.7519 0.9134
0.9714 0.1101 0.8285
0.7500 0.6028 0.0000
0.8905 0.2481 0.0866
0.4714 0.3899 0.6715
0.0286 0.3899 0.3285
0.7500 0.1028 0.5000
0.5286 0.1101 0.1715
0.8905 0.7481 0.4134
0.9714 0.6101 0.6715
0.6095 0.2481 0.9134
0.2500 0.8972 0.5000
0.2500 0.3972 0.0000
```

## B
A plane-wave DFT calculation with GGA+U was carried out for a geometry-optimized Cr5O12 structure.

Size of the total moment: 0.353 μB/atom
Crystal system: orthorhombic

POSCAR file:
```
Cr5O12
1.0
8.9848 0.0000 0.0000
0.0000 9.0596 0.0000
0.0000 0.0000 12.5355
Cr O
20 48
direct
0.1061 0.1042 0.8548
0.8939 0.8958 0.1452
0.8939 0.3958 0.3548
0.0319 0.7492 0.3804
0.0319 0.2492 0.1196
0.3939 0.6042 0.3548
0.4681 0.2492 0.8804
0.2500 0.0368 0.5000
0.9681 0.7508 0.8804
0.6061 0.3958 0.6452
0.4681 0.7492 0.6196
0.5319 0.2508 0.3804
0.9681 0.2508 0.6196
0.7500 0.4632 0.0000
0.6061 0.8958 0.8548
0.3939 0.1042 0.1452
0.2500 0.5368 0.0000
0.7500 0.9632 0.5000
0.5319 0.7508 0.1196
0.1061 0.6042 0.6452
0.7817 0.3496 0.6689
0.6406 0.0691 0.4258
0.9059 0.0785 0.1588
0.4426 0.1586 0.0240
0.4887 0.3186 0.7316
0.4426 0.6586 0.4760
0.2183 0.1504 0.1689
0.8468 0.8552 0.4180
0.0113 0.8186 0.2316
0.4059 0.9215 0.1588
0.9426 0.3414 0.4760
0.0574 0.6586 0.5240
0.5574 0.3414 0.5240
0.4887 0.8186 0.7684
0.5941 0.5785 0.6588
0.7183 0.3496 0.3311
0.2183 0.6504 0.3311
0.9887 0.1814 0.7684
0.7817 0.8496 0.8311
0.0113 0.3186 0.2684
0.0941 0.4215 0.6588
0.8468 0.3552 0.0820
0.8594 0.5691 0.9258
0.1406 0.9309 0.4258
0.3594 0.9309 0.5742
0.3594 0.4309 0.9258
0.9887 0.6814 0.7316
0.3468 0.1448 0.4180
0.5113 0.1814 0.2316
0.5941 0.0785 0.8412
0.8594 0.0691 0.5742
0.5113 0.6814 0.2684
0.5574 0.8414 0.9760
0.2817 0.1504 0.8311
0.0574 0.1586 0.9760
0.4059 0.4215 0.3412
0.0941 0.9215 0.8412
0.9059 0.5785 0.3412
0.1532 0.6448 0.9180
0.9426 0.8414 0.0240
0.3468 0.6448 0.0820
0.7183 0.8496 0.1689
0.1406 0.4309 0.0742
0.1532 0.1448 0.5820
0.6532 0.3552 0.9180
0.6406 0.5691 0.0742
0.2817 0.6504 0.6689
0.6532 0.8552 0.5820
```

What should be chosen as the least stable of them? Choose A.

## A
A plane-wave DFT calculation with GGA+U was carried out for a geometry-optimized Sr3Co2O6 structure.

Size of the total moment: 0.424 μB/atom
Crystal system: orthorhombic

POSCAR file:
```
Sr3Co2O6
1.0
-1.9457 5.7191 10.2114
1.9457 -5.7191 10.2114
1.9457 5.7191 -10.2114
O Sr Co
18 9 6
direct
0.0526 0.4031 0.6495
0.3058 0.8058 0.5000
0.4171 0.4171 0.0000
0.4298 0.0862 0.3436
0.5829 0.5829 0.0000
0.0317 0.1929 0.8388
0.6942 0.1942 0.5000
0.7426 0.0862 0.6564
0.8544 0.0000 0.8544
0.7536 0.4031 0.3505
0.9683 0.8071 0.1612
0.5702 0.9138 0.6564
0.1456 0.0000 0.1456
0.6459 0.8071 0.8388
0.2464 0.5969 0.6495
0.3541 0.1929 0.1612
0.2574 0.9138 0.3436
0.9474 0.5969 0.3505
0.5118 0.6801 0.8317
0.1894 0.6894 0.5000
0.4882 0.3199 0.1683
0.8106 0.3106 0.5000
0.3162 0.5000 0.8162
0.8484 0.6801 0.1683
0.1516 0.3199 0.8317
0.0000 0.5000 0.5000
0.6838 0.5000 0.1838
0.9304 0.0970 0.8335
0.0696 0.9030 0.1665
0.7365 0.9030 0.8335
0.5979 0.0979 0.5000
0.2635 0.0970 0.1665
0.4021 0.9021 0.5000
```

## B
A plane-wave DFT calculation with GGA+U was carried out for a geometry-optimized Sr3Co2O6 structure.

Crystal system: monoclinic

POSCAR file:
```
Sr3Co2O6
1.0
4.6848 2.8405 3.5490
-5.0232 2.9017 3.9520
-0.1190 -5.4756 3.5458
Sr O Co
6 12 4
direct
0.7541 0.3887 0.1183
0.1159 0.7500 0.3841
0.6182 0.8888 0.2542
0.3818 0.1111 0.7458
0.8841 0.2500 0.6159
0.2459 0.6113 0.8817
0.2133 0.4175 0.5221
0.8901 0.7077 0.0323
0.1099 0.2922 0.9677
0.0228 0.9175 0.7137
0.4678 0.7920 0.6098
0.5728 0.4389 0.7655
0.5322 0.2080 0.3902
0.9772 0.0826 0.2863
0.2654 0.9391 0.0735
0.7346 0.0609 0.9265
0.7866 0.5825 0.4779
0.4272 0.5611 0.2346
0.5000 0.5000 0.5000
0.0000 0.0000 0.0000
0.7579 0.7499 0.7424
0.2421 0.2501 0.2576
```

What should be chosen as the least stable of them? Choose A.

## A
A plane-wave DFT calculation with GGA+U was carried out for a geometry-optimized Li5Mn3O8 structure.

Size of the total moment: 0.625 μB/atom
Crystal system: monoclinic

POSCAR file:
```
Li5Mn3O8
1.0
-0.8523 2.1259 -1.7471
2.1495 -0.9064 -4.5268
-8.9919 -4.9272 -1.6084
O Mn Li
8 3 5
direct
0.8980 0.2042 0.6765
0.8759 0.2482 0.1744
0.1024 0.7954 0.8236
0.5990 0.8020 0.0583
0.4008 0.1981 0.4417
0.3748 0.2504 0.9474
0.1240 0.7519 0.3255
0.6252 0.7495 0.5525
0.9822 0.0354 0.0162
0.5002 0.9999 0.7501
0.0175 0.9646 0.4838
0.4999 0.0002 0.2499
0.7357 0.5288 0.8942
0.2644 0.4711 0.6059
0.2422 0.5158 0.1420
0.7578 0.4844 0.3580
```

## B
A plane-wave DFT calculation with GGA+U was carried out for a geometry-optimized Li5Mn3O8 structure.

Size of the total moment: 0.625 μB/atom
Crystal system: triclinic

POSCAR file:
```
Li5Mn3O8
1.0
2.9181 0.0000 0.0000
-0.2019 -5.9524 0.0000
-0.0998 0.0003 -8.2516
Mn O Li
3 8 5
direct
0.0043 0.7432 0.7370
0.5000 0.0000 0.0000
0.9957 0.2568 0.2630
0.9628 0.2368 0.0098
0.0372 0.7632 0.9902
0.5186 0.9718 0.7532
0.4908 0.5282 0.7510
0.4814 0.0282 0.2468
0.0030 0.2490 0.4814
0.5092 0.4718 0.2490
0.9970 0.7510 0.5186
0.9996 0.7431 0.2675
0.5000 0.5000 0.0000
0.0004 0.2569 0.7325
0.5000 0.0000 0.5000
0.5000 0.5000 0.5000
```

What should be chosen as the least stable of them? Choose B.

## A
A plane-wave DFT calculation with GGA+U was carried out for a geometry-optimized Li5Mn3O8 structure.

Size of the total moment: 0.000 μB/atom

POSCAR file:
```
Li5Mn3O8
1.0
-0.9452 4.5720 -1.8004
-6.7892 -1.5777 3.7073
0.9599 4.5456 6.1768
Li O Mn
10 16 6
direct
0.0164 0.3870 0.8756
0.5022 0.4947 0.9921
0.0171 0.8874 0.3755
0.9927 0.1243 0.6254
0.9928 0.6244 0.1255
0.5028 0.6283 0.6212
0.5025 0.1283 0.1211
0.5024 0.7595 0.2605
0.5025 0.9945 0.4923
0.5018 0.2592 0.7602
0.2520 0.3767 0.6068
0.7510 0.8666 0.6457
0.7870 0.0167 0.2426
0.2519 0.8768 0.1068
0.7357 0.0932 0.8803
0.2349 0.2599 0.0117
0.2371 0.9777 0.7661
0.7357 0.5930 0.3802
0.2479 0.1490 0.3676
0.7508 0.3665 0.1455
0.2367 0.4775 0.2661
0.7347 0.2453 0.4810
0.7356 0.7458 0.9812
0.2483 0.6491 0.8676
0.7872 0.5169 0.7426
0.2353 0.7599 0.5117
0.4976 0.3690 0.3762
0.0032 0.5040 0.5027
0.0021 0.7478 0.7446
0.4981 0.8693 0.8764
0.0030 0.0041 0.0027
0.0013 0.2476 0.2447
```

## B
A plane-wave DFT calculation with GGA+U was carried out for a geometry-optimized Li5Mn3O8 structure.

Size of the total moment: 0.625 μB/atom
Crystal system: triclinic

POSCAR file:
```
Li5Mn3O8
1.0
2.9666 0.0000 0.0000
0.1602 5.1125 0.0000
0.2744 1.9094 9.6861
O Mn Li
8 3 5
direct
0.5114 0.3875 0.3900
0.4886 0.6125 0.6100
0.4566 0.8560 0.8864
0.0007 0.1551 0.6185
0.0149 0.3727 0.8929
0.9993 0.8449 0.3815
0.5434 0.1440 0.1136
0.9851 0.6273 0.1071
0.0000 0.0000 0.0000
0.5000 0.5000 0.0000
0.0000 0.5000 0.5000
0.9945 0.2185 0.2774
0.0055 0.7815 0.7226
0.5156 0.7482 0.2724
0.5000 0.0000 0.5000
0.4844 0.2518 0.7276
```

What should be chosen as the least stable of them? Choose B.